DFT (PBE-GGA) results for a relaxed MgNb4S12 crystal.

Calculated values
Space-group type   No. 1
Energy above the lowest structure with this stoichiometry   0 meV/atom
DFT formation energy   -19.0 eV/f.u.

POSCAR file:
```
MgNb4S12
1.0
4.9945 0.0000 0.0000
0.0023 6.8194 0.0000
0.2124 0.1401 9.5039
Mg Nb S
1 4 12
Direct
0.0000 0.0000 0.0000 Mg
0.0070 0.0352 0.3348 Nb
0.0084 0.4909 0.3142 Nb
0.4917 0.2861 0.6311 Nb
0.4921 0.7353 0.6224 Nb
0.2446 0.0050 0.7669 S
0.2562 0.7741 0.1798 S
0.2594 0.2558 0.1566 S
0.2646 0.5126 0.8010 S
0.5016 0.0214 0.4431 S
0.5044 0.5037 0.4205 S
0.6679 0.5123 0.8165 S
0.7242 0.0048 0.7694 S
0.7637 0.2558 0.1586 S
0.7675 0.7734 0.1816 S
0.9976 0.2792 0.5297 S
0.9989 0.7463 0.5146 S
```

***

DFT (PBE-GGA) results for a relaxed Na2MgNb2O6 crystal.

Calculated values
Space-group type   No. 148
Energy above the lowest structure with this stoichiometry   79 meV/atom
DFT formation energy   -28.6 eV/f.u.

POSCAR file:
```
Na2MgNb2O6
1.0
2.6676 1.5401 5.7191
-2.6676 1.5401 5.7191
0.0000 -3.0802 5.7191
Na Mg Nb O
2 1 2 6
Direct
0.1666 0.1666 0.1666 Na
0.8334 0.8334 0.8334 Na
0.0000 0.0000 0.0000 Mg
0.3455 0.3455 0.3455 Nb
0.6545 0.6545 0.6545 Nb
0.0531 0.7404 0.4022 O
0.2596 0.5978 0.9469 O
0.4022 0.0531 0.7404 O
0.5978 0.9469 0.2596 O
0.7404 0.4022 0.0531 O
0.9469 0.2596 0.5978 O
```